No. 1
LiFePO4 | GGA+U | relaxed

Values from the calculation:
- SG = No. 3
- formation energy from the elements (meV/atom) = -2367.3
- spin magnetization (μB/f.u.) = 4.00
- energy above the lowest structure with this stoichiometry (eV per atom) = 0.113

Cell lengths 10.672, 12.312, 10.737 Å; angles 90.00, 118.82, 90.00 degrees
Sites, in units of the cell vectors:
1 Li 0.000 0.000 0.000
2 Li 0.000 0.017 0.500
3 Li 0.000 0.200 0.500
4 Li 0.000 0.395 0.500
5 Li 0.000 0.632 0.500
6 Li 0.000 0.664 0.000
7 Li 0.000 0.826 0.500
8 Li 0.500 0.158 0.500
9 Li 0.500 0.332 0.000
10 Li 0.500 0.508 0.500
11 Li 0.500 0.687 0.000
12 Li 0.500 0.854 0.500
13 Fe 0.005 0.006 0.251
14 Fe 0.234 0.341 0.006
15 Fe 0.256 0.674 0.255
16 Fe 0.259 0.341 0.492
17 Fe 0.261 0.671 0.753
18 Fe 0.496 0.005 0.770
19 Fe 0.504 0.005 0.230
20 Fe 0.739 0.671 0.247
21 Fe 0.741 0.341 0.508
22 Fe 0.744 0.674 0.745
23 Fe 0.766 0.341 0.994
24 Fe 0.995 0.006 0.749
25 P 0.007 0.513 0.748
26 P 0.232 0.185 0.735
27 P 0.240 0.832 0.999
28 P 0.242 0.840 0.502
29 P 0.257 0.163 0.254
30 P 0.496 0.503 0.242
31 P 0.504 0.503 0.758
32 P 0.743 0.163 0.746
33 P 0.758 0.840 0.498
34 P 0.760 0.832 0.001
35 P 0.768 0.185 0.265
36 P 0.993 0.513 0.252
37 O 0.080 0.587 0.206
38 O 0.082 0.432 0.375
39 O 0.083 0.584 0.683
40 O 0.090 0.111 0.676
41 O 0.109 0.908 0.906
42 O 0.112 0.923 0.441
43 O 0.118 0.454 0.881
44 O 0.132 0.078 0.192
45 O 0.177 0.271 0.610
46 O 0.181 0.750 0.561
47 O 0.183 0.748 0.066
48 O 0.217 0.252 0.144
49 O 0.278 0.795 0.389
50 O 0.280 0.242 0.878
51 O 0.282 0.212 0.399
52 O 0.299 0.771 0.910
53 O 0.352 0.114 0.745
54 O 0.363 0.900 0.108
55 O 0.383 0.892 0.611
56 O 0.387 0.552 0.285
57 O 0.389 0.458 0.610
58 O 0.402 0.107 0.300
59 O 0.436 0.413 0.128
60 O 0.444 0.595 0.815
61 O 0.556 0.595 0.185
62 O 0.564 0.413 0.872
63 O 0.598 0.107 0.700
64 O 0.611 0.458 0.390
65 O 0.613 0.552 0.715
66 O 0.617 0.892 0.389
67 O 0.637 0.900 0.892
68 O 0.648 0.114 0.255
69 O 0.701 0.771 0.090
70 O 0.718 0.212 0.601
71 O 0.720 0.242 0.122
72 O 0.722 0.795 0.611
73 O 0.783 0.252 0.856
74 O 0.817 0.748 0.934
75 O 0.819 0.750 0.439
76 O 0.823 0.271 0.390
77 O 0.868 0.078 0.808
78 O 0.882 0.454 0.119
79 O 0.888 0.923 0.559
80 O 0.891 0.908 0.094
81 O 0.910 0.111 0.324
82 O 0.917 0.584 0.317
83 O 0.918 0.432 0.625
84 O 0.920 0.587 0.794

=====

No. 2
Li4FeP2O9 | GGA+U | relaxed

Values from the calculation:
- SG = No. 61
- formation energy from the elements (meV/atom) = -2422.4
- spin magnetization (μB/f.u.) = 4.02
- energy above the lowest structure with this stoichiometry (eV per atom) = 0.030

Cell lengths 6.721, 14.760, 14.558 Å; angles 90.00, 90.00, 90.00 degrees
Sites, in units of the cell vectors:
1 Li 0.001 0.125 0.127
2 Li 0.001 0.375 0.627
3 Li 0.199 0.228 0.522
4 Li 0.199 0.272 0.022
5 Li 0.224 0.505 0.999
6 Li 0.224 0.995 0.499
7 Li 0.247 0.028 0.748
8 Li 0.247 0.472 0.248
9 Li 0.253 0.528 0.748
10 Li 0.253 0.972 0.248
11 Li 0.276 0.005 0.999
12 Li 0.276 0.495 0.499
13 Li 0.301 0.728 0.522
14 Li 0.301 0.772 0.022
15 Li 0.499 0.625 0.127
16 Li 0.499 0.875 0.627
17 Li 0.501 0.125 0.373
18 Li 0.501 0.375 0.873
19 Li 0.699 0.228 0.978
20 Li 0.699 0.272 0.478
21 Li 0.724 0.505 0.501
22 Li 0.724 0.995 0.001
23 Li 0.747 0.028 0.752
24 Li 0.747 0.472 0.252
25 Li 0.753 0.528 0.752
26 Li 0.753 0.972 0.252
27 Li 0.776 0.005 0.501
28 Li 0.776 0.495 0.001
29 Li 0.801 0.728 0.978
30 Li 0.801 0.772 0.478
31 Li 0.999 0.625 0.373
32 Li 0.999 0.875 0.873
33 Fe 0.249 0.235 0.751
34 Fe 0.249 0.265 0.251
35 Fe 0.251 0.735 0.751
36 Fe 0.251 0.765 0.251
37 Fe 0.749 0.235 0.749
38 Fe 0.749 0.265 0.249
39 Fe 0.751 0.735 0.749
40 Fe 0.751 0.765 0.249
41 P 0.001 0.116 0.361
42 P 0.001 0.384 0.861
43 P 0.003 0.613 0.604
44 P 0.003 0.887 0.104
45 P 0.497 0.113 0.604
46 P 0.497 0.387 0.104
47 P 0.499 0.616 0.361
48 P 0.499 0.884 0.861
49 P 0.501 0.116 0.139
50 P 0.501 0.384 0.639
51 P 0.503 0.613 0.896
52 P 0.503 0.887 0.396
53 P 0.997 0.113 0.896
54 P 0.997 0.387 0.396
55 P 0.999 0.616 0.139
56 P 0.999 0.884 0.639
57 O 0.000 0.244 0.702
58 O 0.000 0.256 0.202
59 O 0.000 0.744 0.798
60 O 0.000 0.756 0.298
61 O 0.003 0.042 0.286
62 O 0.003 0.458 0.786
63 O 0.004 0.670 0.515
64 O 0.004 0.830 0.015
65 O 0.011 0.081 0.461
66 O 0.011 0.419 0.961
67 O 0.012 0.510 0.587
68 O 0.012 0.990 0.087
69 O 0.187 0.130 0.837
70 O 0.187 0.370 0.337
71 O 0.193 0.176 0.351
72 O 0.193 0.324 0.851
73 O 0.194 0.673 0.147
74 O 0.194 0.827 0.647
75 O 0.197 0.636 0.660
76 O 0.197 0.864 0.160
77 O 0.303 0.136 0.660
78 O 0.303 0.364 0.160
79 O 0.306 0.173 0.147
80 O 0.306 0.327 0.647
81 O 0.307 0.676 0.351
82 O 0.307 0.824 0.851
83 O 0.313 0.630 0.837
84 O 0.313 0.870 0.337
85 O 0.488 0.010 0.587
86 O 0.488 0.490 0.087
87 O 0.489 0.581 0.461
88 O 0.489 0.919 0.961
89 O 0.496 0.170 0.515
90 O 0.496 0.330 0.015
91 O 0.497 0.542 0.286
92 O 0.497 0.958 0.786
93 O 0.500 0.244 0.798
94 O 0.500 0.256 0.298
95 O 0.500 0.744 0.702
96 O 0.500 0.756 0.202
97 O 0.503 0.042 0.214
98 O 0.503 0.458 0.714
99 O 0.504 0.670 0.985
100 O 0.504 0.830 0.485
101 O 0.511 0.081 0.039
102 O 0.511 0.419 0.539
103 O 0.512 0.510 0.913
104 O 0.512 0.990 0.413
105 O 0.687 0.130 0.663
106 O 0.687 0.370 0.163
107 O 0.693 0.176 0.149
108 O 0.693 0.324 0.649
109 O 0.694 0.673 0.353
110 O 0.694 0.827 0.853
111 O 0.697 0.636 0.840
112 O 0.697 0.864 0.340
113 O 0.803 0.136 0.840
114 O 0.803 0.364 0.340
115 O 0.806 0.173 0.353
116 O 0.806 0.327 0.853
117 O 0.807 0.676 0.149
118 O 0.807 0.824 0.649
119 O 0.813 0.630 0.663
120 O 0.813 0.870 0.163
121 O 0.988 0.010 0.913
122 O 0.988 0.490 0.413
123 O 0.989 0.581 0.039
124 O 0.989 0.919 0.539
125 O 0.996 0.170 0.985
126 O 0.996 0.330 0.485
127 O 0.997 0.542 0.214
128 O 0.997 0.958 0.714

=====

No. 3
LiFePO4 | GGA+U | relaxed

Values from the calculation:
- SG = No. 14
- formation energy from the elements (meV/atom) = -2420.5
- spin magnetization (μB/f.u.) = 4.00
- energy above the lowest structure with this stoichiometry (eV per atom) = 0.060

Cell lengths 8.746, 7.900, 17.499 Å; angles 90.00, 118.88, 90.00 degrees
Sites, in units of the cell vectors:
1 Li 0.004 0.129 0.255
2 Li 0.004 0.371 0.755
3 Li 0.274 0.009 0.564
4 Li 0.274 0.491 0.064
5 Li 0.357 0.011 0.085
6 Li 0.357 0.489 0.585
7 Li 0.643 0.511 0.415
8 Li 0.643 0.989 0.915
9 Li 0.726 0.509 0.936
10 Li 0.726 0.991 0.436
11 Li 0.996 0.629 0.245
12 Li 0.996 0.871 0.745
13 Fe 0.021 0.168 0.919
14 Fe 0.021 0.332 0.419
15 Fe 0.310 0.176 0.734
16 Fe 0.310 0.324 0.234
17 Fe 0.351 0.669 0.903
18 Fe 0.351 0.831 0.403
19 Fe 0.649 0.169 0.597
20 Fe 0.649 0.331 0.097
21 Fe 0.690 0.676 0.766
22 Fe 0.690 0.824 0.266
23 Fe 0.979 0.668 0.581
24 Fe 0.979 0.832 0.081
25 P 0.041 0.734 0.428
26 P 0.041 0.766 0.928
27 P 0.309 0.725 0.225
28 P 0.309 0.775 0.725
29 P 0.361 0.240 0.410
30 P 0.361 0.260 0.910
31 P 0.639 0.740 0.090
32 P 0.639 0.760 0.590
33 P 0.691 0.225 0.275
34 P 0.691 0.275 0.775
35 P 0.959 0.234 0.072
36 P 0.959 0.266 0.572
37 O 0.070 0.220 0.174
38 O 0.070 0.280 0.674
39 O 0.086 0.219 0.536
40 O 0.086 0.281 0.036
41 O 0.133 0.562 0.465
42 O 0.133 0.938 0.965
43 O 0.158 0.231 0.364
44 O 0.158 0.269 0.864
45 O 0.183 0.628 0.954
46 O 0.183 0.872 0.454
47 O 0.212 0.741 0.280
48 O 0.212 0.759 0.780
49 O 0.246 0.632 0.656
50 O 0.246 0.868 0.156
51 O 0.255 0.554 0.173
52 O 0.255 0.946 0.673
53 O 0.416 0.120 0.865
54 O 0.416 0.380 0.365
55 O 0.429 0.219 0.008
56 O 0.429 0.281 0.508
57 O 0.436 0.069 0.398
58 O 0.436 0.431 0.898
59 O 0.494 0.231 0.210
60 O 0.494 0.269 0.710
61 O 0.506 0.731 0.290
62 O 0.506 0.769 0.790
63 O 0.564 0.569 0.102
64 O 0.564 0.931 0.602
65 O 0.571 0.719 0.492
66 O 0.571 0.781 0.992
67 O 0.584 0.620 0.635
68 O 0.584 0.880 0.135
69 O 0.745 0.054 0.327
70 O 0.745 0.446 0.827
71 O 0.754 0.132 0.844
72 O 0.754 0.368 0.344
73 O 0.788 0.241 0.220
74 O 0.788 0.259 0.720
75 O 0.817 0.128 0.546
76 O 0.817 0.372 0.046
77 O 0.842 0.731 0.136
78 O 0.842 0.769 0.636
79 O 0.867 0.062 0.035
80 O 0.867 0.438 0.535
81 O 0.914 0.719 0.964
82 O 0.914 0.781 0.464
83 O 0.930 0.720 0.326
84 O 0.930 0.780 0.826

=====

No. 4
Li5Fe2P5O18 | GGA+U | relaxed

Values from the calculation:
- SG = No. 2
- formation energy from the elements (meV/atom) = -2551.1
- spin magnetization (μB/f.u.) = 10.00

Cell lengths 6.514, 9.303, 10.638 Å; angles 96.06, 92.98, 91.16 degrees
Sites, in units of the cell vectors:
1 Li 0.015 0.442 0.128
2 Li 0.124 0.716 0.660
3 Li 0.173 0.371 0.643
4 Li 0.344 0.872 0.865
5 Li 0.445 0.221 0.410
6 Li 0.555 0.779 0.590
7 Li 0.656 0.128 0.135
8 Li 0.827 0.629 0.357
9 Li 0.876 0.284 0.340
10 Li 0.985 0.558 0.872
11 Fe 0.232 0.856 0.404
12 Fe 0.331 0.268 0.945
13 Fe 0.669 0.732 0.055
14 Fe 0.768 0.144 0.596
15 P 0.166 0.081 0.174
16 P 0.171 0.769 0.105
17 P 0.222 0.510 0.402
18 P 0.279 0.082 0.651
19 P 0.486 0.552 0.800
20 P 0.514 0.448 0.200
21 P 0.721 0.918 0.349
22 P 0.778 0.490 0.598
23 P 0.829 0.231 0.895
24 P 0.834 0.919 0.826
25 O 0.013 0.330 0.949
26 O 0.016 0.822 0.817
27 O 0.029 0.484 0.313
28 O 0.078 0.926 0.104
29 O 0.080 0.162 0.616
30 O 0.222 0.659 0.483
31 O 0.235 0.747 0.240
32 O 0.251 0.920 0.597
33 O 0.263 0.382 0.476
34 O 0.264 0.050 0.304
35 O 0.322 0.102 0.797
36 O 0.327 0.124 0.081
37 O 0.327 0.437 0.833
38 O 0.338 0.420 0.097
39 O 0.357 0.756 0.022
40 O 0.393 0.687 0.755
41 O 0.420 0.530 0.321
42 O 0.458 0.148 0.582
43 O 0.542 0.852 0.418
44 O 0.580 0.470 0.679
45 O 0.607 0.313 0.245
46 O 0.643 0.244 0.978
47 O 0.662 0.580 0.903
48 O 0.673 0.563 0.167
49 O 0.673 0.876 0.919
50 O 0.678 0.898 0.203
51 O 0.736 0.950 0.696
52 O 0.737 0.618 0.524
53 O 0.749 0.080 0.403
54 O 0.765 0.253 0.760
55 O 0.778 0.341 0.517
56 O 0.920 0.838 0.384
57 O 0.922 0.074 0.896
58 O 0.971 0.516 0.687
59 O 0.984 0.178 0.183
60 O 0.987 0.670 0.051

=====

No. 5
Li3Fe2P3O12 | GGA+U | relaxed

Values from the calculation:
- SG = No. 12
- formation energy from the elements (meV/atom) = -2471.9
- spin magnetization (μB/f.u.) = 10.00
- energy above the lowest structure with this stoichiometry (eV per atom) = 0.035

Cell lengths 4.890, 4.890, 18.889 Å; angles 90.25, 90.25, 67.10 degrees
Sites, in units of the cell vectors:
1 Li 0.000 0.000 0.166
2 Li 0.000 0.000 0.834
3 Li 0.327 0.327 0.086
4 Li 0.327 0.327 0.753
5 Li 0.673 0.673 0.247
6 Li 0.673 0.673 0.914
7 Fe 0.000 0.000 0.000
8 Fe 0.000 0.000 0.500
9 Fe 0.001 0.001 0.332
10 Fe 0.999 0.999 0.668
11 P 0.348 0.348 0.583
12 P 0.349 0.349 0.252
13 P 0.351 0.351 0.918
14 P 0.649 0.649 0.082
15 P 0.651 0.651 0.748
16 P 0.652 0.652 0.417
17 O 0.224 0.700 0.583
18 O 0.234 0.234 0.316
19 O 0.236 0.236 0.518
20 O 0.237 0.698 0.257
21 O 0.237 0.700 0.923
22 O 0.240 0.240 0.985
23 O 0.246 0.246 0.652
24 O 0.252 0.252 0.851
25 O 0.254 0.254 0.183
26 O 0.300 0.763 0.077
27 O 0.300 0.776 0.417
28 O 0.302 0.763 0.743
29 O 0.698 0.237 0.257
30 O 0.700 0.224 0.583
31 O 0.700 0.237 0.923
32 O 0.746 0.746 0.817
33 O 0.748 0.748 0.149
34 O 0.754 0.754 0.348
35 O 0.760 0.760 0.015
36 O 0.763 0.300 0.077
37 O 0.763 0.302 0.743
38 O 0.764 0.764 0.482
39 O 0.766 0.766 0.684
40 O 0.776 0.300 0.417

=====

Short version: DFT total energy = -6.74 -6.36 -6.79 -6.74 -6.75 eV/atom, in the order given.